Entry 1:
RbMg6Ga: optimized geometry, GGA-PBE.

a b c (Å): 5.2612 6.7448 6.7448
angles (deg): 62.19 90.00 90.00
With the nearest neighbours (Å) after each atom.
Positions (direct):
Rb1 0.0000 0.0000 0.0000  10 Mg 3.35-3.40, 2 Ga 3.49
Mg1 0.0000 0.5018 0.9890  1 Ga 3.13, 7 Mg 3.24-3.39, 2 Rb 3.35-3.40
Mg2 0.0000 0.9890 0.5018  1 Ga 3.13, 7 Mg 3.24-3.39, 2 Rb 3.35-3.40
Mg3 0.5000 0.3302 0.3302  10 Mg 3.30-3.49, 2 Ga 3.41
Mg4 0.5000 0.3554 0.8078  6 Mg 3.15-3.45, 2 Ga 3.15, 2 Rb 3.38
Mg5 0.5000 0.8078 0.3554  6 Mg 3.15-3.45, 2 Ga 3.15, 2 Rb 3.38
Mg6 0.5000 0.8174 0.8174  8 Mg 3.15-3.49, 2 Rb 3.37
Ga1 0.0000 0.5181 0.5181  8 Mg 3.13-3.41, 2 Rb 3.49

Results
The space group is Amm2. The energy relative to the elements comes out at 199.1 meV per atom. Its crystal system is orthorhombic.



Entry 2:
Mg2Ga2S5: optimized geometry, GGA-PBE.

a b c (Å): 3.7357 3.7357 15.4396
angles (deg): 90.00 90.00 120.00
With the nearest neighbours (Å) after each atom.
Positions (direct):
Mg1 0.3333 0.6667 0.0991  6 S 2.54-2.64
Mg2 0.6667 0.3333 0.9009  6 S 2.54-2.64
Ga1 0.3333 0.6667 0.6714  4 S 2.20-2.38
Ga2 0.6667 0.3333 0.3286  4 S 2.20-2.38
S1 0.0000 0.0000 0.0000  6 Mg 2.64
S2 0.3333 0.6667 0.3934  3 Ga 2.38
S3 0.3333 0.6667 0.8141  1 Ga 2.20
S4 0.6667 0.3333 0.1859  1 Ga 2.20
S5 0.6667 0.3333 0.6066  3 Ga 2.38

Results
The space group is P-3m1. The energy relative to the elements comes out at -1290.5 meV per atom. Its crystal system is trigonal.



Entry 3:
MgTiGaS4: optimized geometry, GGA-PBE.

a b c (Å): 7.3727 7.3727 7.2515
angles (deg): 119.36 119.36 60.35
With the nearest neighbours (Å) after each atom.
Positions (direct):
Mg1 0.1254 0.1254 0.3750  4 S 2.44-2.46
Mg2 0.8746 0.8746 0.6250  4 S 2.44-2.46
Ti1 0.5000 0.5000 0.0000  6 S 2.45-2.49
Ti2 0.5000 0.5000 0.5000  6 S 2.45-2.49
Ga1 0.0000 0.5000 0.0000  6 S 2.51-2.52
Ga2 0.5000 0.0000 0.0000  6 S 2.51-2.52
S1 0.2594 0.7194 0.2393  1 Mg 2.46, 2 Ti 2.49, 1 Ga 2.52
S2 0.2667 0.2667 0.2490  1 Mg 2.44, 1 Ti 2.45, 2 Ga 2.51
S3 0.2669 0.2669 0.7848  1 Ti 2.45, 1 Mg 2.45, 2 Ga 2.51
S4 0.2806 0.7406 0.7607  1 Mg 2.46, 2 Ti 2.49, 1 Ga 2.52
S5 0.7194 0.2594 0.2393  1 Mg 2.46, 2 Ti 2.49, 1 Ga 2.52
S6 0.7331 0.7331 0.2152  1 Ti 2.45, 1 Mg 2.45, 2 Ga 2.51
S7 0.7333 0.7333 0.7510  1 Mg 2.44, 1 Ti 2.45, 2 Ga 2.51
S8 0.7406 0.2806 0.7607  1 Mg 2.46, 2 Ti 2.49, 1 Ga 2.52

Results
The space group is C2/m. The energy relative to the elements comes out at -1337.0 meV per atom. Its crystal system is monoclinic.



Entry 4:
MgVGaS4: optimized geometry, GGA-PBE.

a b c (Å): 7.3381 7.3381 7.3381
angles (deg): 121.73 120.35 88.21
With the nearest neighbours (Å) after each atom.
Positions (direct):
Mg1 0.3745 0.1245 0.2500  4 S 2.43-2.45
Mg2 0.6255 0.8755 0.7500  4 S 2.43-2.45
V1 0.0000 0.0000 0.5000  6 S 2.45
V2 0.0000 0.5000 0.0000  6 S 2.45
Ga1 0.0000 0.5000 0.5000  6 S 2.47-2.52
Ga2 0.5000 0.5000 0.0000  6 S 2.47-2.52
S1 0.2173 0.7386 0.4787  2 V 2.45, 1 Mg 2.45, 1 Ga 2.52
S2 0.2324 0.2506 0.5182  1 Mg 2.43, 1 V 2.45, 2 Ga 2.47
S3 0.2324 0.7142 0.9818  1 Mg 2.43, 1 V 2.45, 2 Ga 2.47
S4 0.2401 0.2614 0.9787  2 V 2.45, 1 Mg 2.45, 1 Ga 2.52
S5 0.7599 0.7386 0.0213  2 V 2.45, 1 Mg 2.45, 1 Ga 2.52
S6 0.7676 0.2858 0.0182  1 Mg 2.43, 1 V 2.45, 2 Ga 2.47
S7 0.7676 0.7494 0.4818  1 Mg 2.43, 1 V 2.45, 2 Ga 2.47
S8 0.7827 0.2614 0.5213  2 V 2.45, 1 Mg 2.45, 1 Ga 2.52

Results
The space group is Imma. The energy relative to the elements comes out at -1166.9 meV per atom. Its crystal system is orthorhombic.



Entry 5:
Mg2V3GaS8: optimized geometry, GGA-PBE.

a b c (Å): 7.3452 7.3452 7.3452
angles (deg): 58.76 58.76 58.76
With the nearest neighbours (Å) after each atom.
Positions (direct):
Mg1 0.1249 0.1249 0.1249  4 S 2.42-2.48
Mg2 0.8751 0.8751 0.8751  4 S 2.42-2.48
V1 0.0000 0.5000 0.5000  6 S 2.45-2.46
V2 0.5000 0.0000 0.5000  6 S 2.45-2.46
V3 0.5000 0.5000 0.0000  6 S 2.45-2.46
Ga1 0.5000 0.5000 0.5000  6 S 2.47
S1 0.2615 0.2615 0.2615  3 V 2.46, 1 Mg 2.48
S2 0.2607 0.2607 0.7153  1 Mg 2.42, 2 V 2.45, 1 Ga 2.47
S3 0.2607 0.7153 0.2607  1 Mg 2.42, 2 V 2.45, 1 Ga 2.47
S4 0.2847 0.7393 0.7393  1 Mg 2.42, 2 V 2.45, 1 Ga 2.47
S5 0.7153 0.2607 0.2607  1 Mg 2.42, 2 V 2.45, 1 Ga 2.47
S6 0.7393 0.2847 0.7393  1 Mg 2.42, 2 V 2.45, 1 Ga 2.47
S7 0.7393 0.7393 0.2847  1 Mg 2.42, 2 V 2.45, 1 Ga 2.47
S8 0.7385 0.7385 0.7385  3 V 2.46, 1 Mg 2.48

Results
The space group is R-3m. The energy relative to the elements comes out at -1220.6 meV per atom. Its crystal system is trigonal.



Entry 6:
Mg2Ga3WS8: optimized geometry, GGA-PBE.

a b c (Å): 7.4230 7.4230 7.4230
angles (deg): 59.19 59.19 59.19
With the nearest neighbours (Å) after each atom.
Positions (direct):
Mg1 0.1261 0.1261 0.1261  4 S 2.46-2.47
Mg2 0.8739 0.8739 0.8739  4 S 2.46-2.47
Ga1 0.0000 0.5000 0.5000  6 S 2.50
Ga2 0.5000 0.0000 0.5000  6 S 2.50
Ga3 0.5000 0.5000 0.0000  6 S 2.50
W1 0.5000 0.5000 0.5000  6 S 2.47
S1 0.2603 0.2603 0.2603  1 Mg 2.46, 3 Ga 2.50
S2 0.2637 0.2637 0.7143  1 Mg 2.47, 1 W 2.47, 2 Ga 2.50
S3 0.2637 0.7143 0.2637  1 Mg 2.47, 1 W 2.47, 2 Ga 2.50
S4 0.2857 0.7363 0.7363  1 Mg 2.47, 1 W 2.47, 2 Ga 2.50
S5 0.7143 0.2637 0.2637  1 Mg 2.47, 1 W 2.47, 2 Ga 2.50
S6 0.7363 0.2857 0.7363  1 Mg 2.47, 1 W 2.47, 2 Ga 2.50
S7 0.7363 0.7363 0.2857  1 Mg 2.47, 1 W 2.47, 2 Ga 2.50
S8 0.7397 0.7397 0.7397  1 Mg 2.46, 3 Ga 2.50

Results
The space group is R-3m. The energy relative to the elements comes out at -995.6 meV per atom. Its crystal system is trigonal.



Calculated final energy (eV/atom), listed in the same order as above: -1.502; -4.338; -5.202; -5.202; -5.688; -4.875